Entry 1:
Density functional theory data (GGA-PBE) for a relaxed BaCeC2O6F crystal.

```
22
Lattice="2.815 1.625 13.099 -2.815 1.625 13.099 0.000 -3.250 13.099" Properties=species:S:1:pos:R:3 pbc="T T T"
Ba 0.000 0.000 0.000
Ba 0.000 0.000 19.649
Ce 0.000 0.000 9.830
Ce 0.000 0.000 29.468
C 0.000 0.000 4.259
C 0.000 0.000 14.865
C 0.000 0.000 24.433
C 0.000 0.000 35.039
O 0.000 -1.969 8.823
O -1.706 0.985 8.823
O 0.000 -1.302 14.914
O -1.127 0.651 14.914
O -1.127 -0.651 24.384
O -1.706 -0.985 30.475
O 1.706 0.985 8.823
O 1.127 0.651 14.914
O 1.127 -0.651 24.384
O 0.000 1.302 24.384
O 1.706 -0.985 30.475
O 0.000 1.969 30.475
F 0.000 0.000 7.147
F 0.000 0.000 32.151
```

Results
Energy relative to the lowest polymorph listed for this composition, meV/atom: 271
Formation energy, eV/f.u.: -28.66
SG: No. 166

Entry 2:
Density functional theory data (GGA-PBE) for a relaxed BaCSNCl crystal.

```
10
Lattice="5.913 0.000 0.000 0.000 4.690 0.000 -1.349 0.000 8.802" Properties=species:S:1:pos:R:3 pbc="T T T"
Ba 0.836 1.172 2.653
Ba 3.729 3.517 6.149
C 1.189 1.172 7.443
C 3.375 3.517 1.359
S -0.380 1.172 7.888
S 4.944 3.517 0.915
N 2.232 3.517 1.681
N 2.333 1.172 7.121
Cl 0.752 3.517 4.827
Cl 3.813 1.172 3.975
```

Results
Formation energy, eV/f.u.: -6.66
SG: No. 11

Entry 3:
Density functional theory data (GGA-PBE) for a relaxed Ba3CCl4O3 crystal.

```
44
Lattice="8.514 0.000 0.000 0.000 9.655 0.000 0.000 0.000 12.587" Properties=species:S:1:pos:R:3 pbc="T T T"
Ba 0.380 2.414 0.426
Ba 0.443 4.911 4.029
Ba 0.443 9.572 4.029
Ba 3.814 0.084 10.322
Ba 3.814 4.744 10.322
Ba 3.877 7.241 6.719
Ba 4.637 2.414 5.868
Ba 4.700 4.911 2.265
Ba 4.700 9.572 2.265
Ba 8.071 0.084 8.559
Ba 8.071 4.744 8.559
Ba 8.134 7.241 12.162
C 1.884 7.241 9.910
C 2.373 2.414 3.617
C 6.141 7.241 8.971
C 6.630 2.414 2.677
Cl 0.393 7.241 6.467
Cl 1.367 2.414 10.007
Cl 1.683 5.222 0.972
Cl 1.683 9.261 0.972
Cl 2.573 0.394 7.266
Cl 2.573 4.433 7.266
Cl 2.890 7.241 3.714
Cl 3.864 2.414 0.174
Cl 4.649 7.241 12.414
Cl 5.624 2.414 8.874
Cl 5.940 5.222 5.322
Cl 5.940 9.261 5.322
Cl 6.830 0.394 11.615
Cl 6.830 4.433 11.615
Cl 7.147 7.241 2.580
Cl 8.121 2.414 6.120
O 1.209 2.414 3.043
O 1.331 6.106 10.229
O 1.331 8.376 10.229
O 2.925 1.279 3.935
O 2.925 3.549 3.935
O 3.048 7.241 9.337
O 5.465 2.414 3.251
O 5.588 6.106 8.652
O 5.588 8.376 8.652
O 7.182 1.279 2.358
O 7.182 3.549 2.358
O 7.305 7.241 9.545
```

Results
Formation energy, eV/f.u.: -28.62
SG: No. 62

Entry 4:
Density functional theory data (GGA-PBE) for a relaxed Cs3Ba4C3O9F5 crystal.

```
48
Lattice="11.688 0.000 0.000 -5.844 10.122 0.000 0.000 0.000 7.726" Properties=species:S:1:pos:R:3 pbc="T T T"
Cs 0.000 2.467 0.000
Cs -3.708 8.889 0.000
Cs 2.136 1.233 3.863
Cs 3.708 8.889 0.000
Cs 9.552 1.233 3.863
Cs 5.844 7.655 3.863
Ba -2.270 5.438 2.592
Ba 0.000 6.748 6.117
Ba 2.270 5.438 2.592
Ba 0.000 9.369 2.592
Ba 5.844 0.753 6.455
Ba 3.574 4.685 6.455
Ba 5.844 3.374 2.254
Ba 8.114 4.685 6.455
C 0.000 4.010 4.386
C -2.372 8.117 4.386
C 3.473 2.005 0.523
C 2.372 8.117 4.386
C 8.216 2.005 0.523
C 5.844 6.113 0.523
O -1.130 4.206 5.011
O -2.767 7.040 5.011
O 0.000 3.668 3.131
O -2.667 8.288 3.131
O 1.130 4.206 5.011
O -1.636 8.998 5.011
O 3.177 1.834 6.994
O 4.208 1.124 1.148
O 3.077 3.082 1.148
O 2.767 7.040 5.011
O 1.636 8.998 5.011
O 2.667 8.288 3.131
O 7.481 1.124 1.148
O 4.714 5.916 1.148
O 8.512 1.834 6.994
O 5.844 6.454 6.994
O 8.611 3.082 1.148
O 6.974 5.916 1.148
F 0.000 0.000 1.877
F 0.000 0.000 5.740
F -1.661 5.789 0.126
F 0.000 6.748 3.316
F 1.661 5.789 0.126
F 0.000 8.667 0.126
F 5.844 1.456 3.989
F 4.183 4.333 3.989
F 5.844 3.374 7.179
F 7.506 4.333 3.989
```

Results
Formation energy, eV/f.u.: -69.87
SG: No. 186

Entry 5:
Density functional theory data (GGA-PBE) for a relaxed Cs2Ba2C3O9 crystal.

```
32
Lattice="-5.258 5.258 5.258 5.258 -5.258 5.258 5.258 5.258 -5.258" Properties=species:S:1:pos:R:3 pbc="T T T"
Cs 3.260 1.999 -1.999
Cs 1.999 -1.999 3.260
Cs 1.999 1.999 1.999
Cs -1.999 3.260 1.999
Ba 5.694 -0.436 0.436
Ba 0.436 5.694 -0.436
Ba -0.436 0.436 5.694
Ba 4.823 4.823 4.823
C 5.258 -2.629 3.582
C 3.582 5.258 -2.629
C 5.258 2.629 1.676
C 2.629 1.676 5.258
C 1.676 5.258 2.629
C -2.629 3.582 5.258
O 5.087 -1.512 2.940
O 8.198 0.171 1.512
O 5.258 -2.629 4.893
O 4.893 5.258 -2.629
O 5.258 2.629 0.365
O 2.940 5.087 -1.512
O 5.087 1.512 2.319
O 2.629 0.365 5.258
O 5.430 3.747 2.319
O 2.319 5.087 1.512
O 1.512 2.319 5.087
O 3.747 2.319 5.430
O 0.365 5.258 2.629
O -1.512 2.940 5.087
O 1.512 8.198 0.171
O 2.319 5.430 3.747
O 0.171 1.512 8.198
O -2.629 4.893 5.258
```

Results
Formation energy, eV/f.u.: -39.29
SG: No. 199

Entry 6:
Density functional theory data (GGA-PBE) for a relaxed Ba4NaMgCuC2O10 crystal.

```
19
Lattice="-2.894 2.894 9.885 2.894 -2.894 9.885 2.894 2.894 -9.885" Properties=species:S:1:pos:R:3 pbc="T T T"
Ba 0.000 0.000 2.361
Ba 0.000 0.000 6.235
Ba 0.000 0.000 13.535
Ba 0.000 0.000 17.409
Na 2.894 0.000 4.942
Mg 0.000 0.000 9.885
Cu 0.000 2.894 4.942
C 0.000 2.894 0.279
C 0.000 2.894 9.606
O 1.835 1.727 -5.687
O 2.894 0.000 1.006
O 2.740 1.116 -0.964
O 1.059 1.167 4.198
O 2.894 0.000 8.879
O 1.777 -0.153 10.849
O 1.116 3.047 0.964
O 1.167 -1.059 15.572
O 0.153 1.777 8.921
O 1.727 3.953 5.687
```

Results
Formation energy, eV/f.u.: -43.23
SG: No. 82

Entry 7:
Density functional theory data (GGA-PBE) for a relaxed Ba2CuC6O16 crystal.

```
25
Lattice="6.438 0.000 0.000 0.507 9.141 0.000 1.316 4.485 9.331" Properties=species:S:1:pos:R:3 pbc="T T T"
Ba 1.715 0.812 1.480
Ba 6.545 12.814 7.850
Cu 0.658 2.242 4.665
C 2.436 4.939 7.640
C 2.968 8.344 5.635
C 2.813 5.886 1.008
C 5.448 7.740 8.323
C 5.293 5.282 3.696
C 5.825 8.687 1.691
O 1.661 5.609 8.439
O 1.389 2.656 3.197
O 1.948 4.437 6.568
O 2.292 5.551 2.000
O 3.015 8.355 6.807
O 2.925 8.328 4.458
O 3.670 4.737 7.982
O 3.334 6.224 0.002
O 4.927 7.402 9.329
O 4.590 8.889 1.348
O 5.335 5.298 4.873
O 5.245 5.271 2.523
O 5.969 8.075 7.330
O 6.313 9.189 2.763
O 6.872 10.970 6.133
O 6.600 8.017 0.892
```

Results
Energy relative to the lowest polymorph listed for this composition, meV/atom: 0
Formation energy, eV/f.u.: -45.98
SG: No. 2

Entry 8:
Density functional theory data (GGA-PBE) for a relaxed Ba2CuC6O16 crystal.

```
25
Lattice="6.776 0.000 0.000 0.904 7.747 0.000 1.309 3.212 9.203" Properties=species:S:1:pos:R:3 pbc="T T T"
Ba 2.257 4.354 1.402
Ba 6.731 6.606 7.801
Cu 1.106 5.480 4.601
C 2.977 7.531 7.414
C 2.909 2.838 5.617
C 2.797 1.056 1.010
C 6.192 9.903 8.192
C 6.079 8.122 3.586
C 6.012 3.429 1.789
O 2.205 8.148 8.266
O 2.005 6.002 3.262
O 2.511 7.162 6.284
O 2.229 0.692 1.966
O 3.015 2.731 6.782
O 2.810 2.943 4.451
O 4.194 7.254 7.765
O 3.345 1.468 0.049
O 5.643 9.491 9.154
O 4.794 3.706 1.437
O 6.179 8.016 4.751
O 5.974 8.228 2.421
O 6.759 10.267 7.237
O 6.477 3.797 2.918
O 6.983 4.957 5.941
O 6.784 2.811 0.937
```

Results
Energy relative to the lowest polymorph listed for this composition, meV/atom: 38
Formation energy, eV/f.u.: -45.02
SG: No. 2

Entry 9:
Density functional theory data (GGA-PBE) for a relaxed Ba2GdC2O6F3 crystal.

```
56
Lattice="9.656 0.000 0.000 0.000 7.103 0.000 0.000 0.000 11.959" Properties=species:S:1:pos:R:3 pbc="T T T"
Ba 1.159 1.692 0.853
Ba 1.159 5.410 6.833
Ba 3.669 1.859 6.833
Ba 3.669 5.244 0.853
Ba 5.987 1.859 11.107
Ba 5.987 5.244 5.127
Ba 8.497 1.692 5.127
Ba 8.497 5.410 11.107
Gd 0.000 1.616 8.970
Gd 0.000 5.487 2.990
Gd 4.828 1.936 2.990
Gd 4.828 5.167 8.970
C 1.875 3.405 3.843
C 1.875 3.698 9.823
C 2.953 0.147 9.823
C 2.953 6.956 3.843
C 6.703 0.147 8.116
C 6.703 6.956 2.137
C 7.781 3.405 2.137
C 7.781 3.698 8.116
O 0.878 3.399 10.611
O 0.878 3.704 4.631
O 1.803 3.262 8.589
O 1.803 3.841 2.609
O 1.961 0.842 10.239
O 1.961 6.261 4.259
O 2.867 2.709 4.259
O 2.867 4.394 10.239
O 3.025 0.289 2.609
O 3.025 6.813 8.589
O 3.950 0.153 4.631
O 3.950 6.950 10.611
O 5.706 0.153 1.348
O 5.706 6.950 7.328
O 6.631 0.289 3.371
O 6.631 6.813 9.351
O 6.789 2.709 1.720
O 6.789 4.394 7.700
O 7.695 0.842 7.700
O 7.695 6.261 1.720
O 7.853 3.262 9.351
O 7.853 3.841 3.371
O 8.778 3.399 7.328
O 8.778 3.704 1.348
F 0.000 0.730 2.990
F 0.000 6.373 8.970
F 0.920 1.060 6.885
F 0.920 6.043 0.906
F 3.908 2.492 0.906
F 3.908 4.611 6.885
F 4.828 2.821 8.970
F 4.828 4.281 2.990
F 5.748 2.492 5.074
F 5.748 4.611 11.054
F 8.736 1.060 11.054
F 8.736 6.043 5.074
```

Results
Formation energy, eV/f.u.: -44.65
SG: No. 60